Entry 1:
The following is a DFT calculation (PBE-GGA) of Ca19Mg8H54 after structural relaxation.

POSCAR file:
```
Ca19Mg8H54
1.0
-6.096 6.096 6.096
6.096 -6.096 6.096
6.096 6.096 -6.096
Ca Mg H
19 8 54
direct
0.000 0.000 0.000
0.000 0.331 0.331
0.000 0.669 0.669
0.033 0.346 0.687
0.313 0.660 0.346
0.313 0.967 0.654
0.331 0.000 0.331
0.331 0.331 0.000
0.340 0.654 0.687
0.346 0.313 0.660
0.346 0.687 0.033
0.654 0.313 0.967
0.654 0.687 0.340
0.660 0.346 0.313
0.669 0.000 0.669
0.669 0.669 0.000
0.687 0.033 0.346
0.687 0.340 0.654
0.967 0.654 0.313
0.000 0.000 0.316
0.000 0.000 0.684
0.000 0.316 0.000
0.000 0.684 0.000
0.316 0.000 0.000
0.316 0.316 0.316
0.684 0.000 0.000
0.684 0.684 0.684
0.058 0.481 0.199
0.058 0.859 0.577
0.062 0.890 0.173
0.110 0.173 0.283
0.110 0.827 0.938
0.114 0.614 0.500
0.141 0.199 0.718
0.141 0.423 0.942
0.173 0.062 0.890
0.173 0.283 0.110
0.181 0.397 0.577
0.181 0.603 0.784
0.199 0.058 0.481
0.199 0.718 0.141
0.216 0.819 0.397
0.282 0.481 0.423
0.282 0.859 0.801
0.283 0.110 0.173
0.386 0.500 0.886
0.397 0.216 0.819
0.397 0.577 0.181
0.423 0.282 0.481
0.423 0.819 0.603
0.423 0.942 0.141
0.481 0.199 0.058
0.481 0.423 0.282
0.500 0.114 0.614
0.500 0.886 0.386
0.519 0.577 0.718
0.519 0.801 0.942
0.577 0.058 0.859
0.577 0.181 0.397
0.577 0.718 0.519
0.603 0.423 0.819
0.603 0.784 0.181
0.614 0.500 0.114
0.717 0.890 0.827
0.718 0.141 0.199
0.718 0.519 0.577
0.784 0.181 0.603
0.801 0.282 0.859
0.801 0.942 0.519
0.819 0.397 0.216
0.819 0.603 0.423
0.827 0.717 0.890
0.827 0.938 0.110
0.859 0.577 0.058
0.859 0.801 0.282
0.886 0.386 0.500
0.890 0.173 0.062
0.890 0.827 0.717
0.938 0.110 0.827
0.942 0.141 0.423
0.942 0.519 0.801
```

Corrected total energy (MP2020 scheme) ... -279.8 eV for the cell shown
Space-group type ... Im-3 (204)
Crystal system ... cubic
Total energy ... -3.335 eV per atom

Entry 2:
The following is a DFT calculation (PBE-GGA) of CaAcMg2 after structural relaxation.

POSCAR file:
```
CaAcMg2
1.0
8.104 0.000 0.000
0.000 8.104 0.000
0.000 0.000 8.104
Ca Ac Mg
4 4 8
direct
0.000 0.000 0.000
0.000 0.500 0.500
0.500 0.000 0.500
0.500 0.500 0.000
0.000 0.000 0.500
0.000 0.500 0.000
0.500 0.000 0.000
0.500 0.500 0.500
0.250 0.250 0.250
0.250 0.250 0.750
0.250 0.750 0.250
0.250 0.750 0.750
0.750 0.250 0.250
0.750 0.250 0.750
0.750 0.750 0.250
0.750 0.750 0.750
```

Space-group type ... Fm-3m (225)
Crystal system ... cubic
Total energy ... -2.423 eV per atom

The lowest total energy belongs to which entry? Ca19Mg8H54